(w)
A relaxed structure of YCo2O4, computed with GGA+U.

Results
* size of the total moment: 3.00 μB/f.u.
* space-group type: I4_1/a (88)
* crystal system: tetragonal

```
YCo2O4
1.0
-2.8099 2.8099 4.8538
2.8099 -2.8099 4.8538
2.8099 2.8099 -4.8538
Y Co O
2 4 8
Cartesian
0.0000 1.4050 1.2134 Y
2.8099 1.4050 3.6403 Y
1.4050 1.4050 -2.4269 Co
1.4050 -1.4050 2.4269 Co
2.8099 0.0000 0.0000 Co
0.0000 0.0000 4.8538 Co
1.1982 0.5609 -0.7138 O
1.9659 0.2068 1.7131 O
1.6117 -0.5609 4.1400 O
1.9659 3.0167 -1.7131 O
0.8441 -0.2068 6.5669 O
1.1982 3.3708 0.7138 O
0.8441 2.6031 3.1407 O
1.6117 2.2490 5.5675 O
```

***

(x)
A relaxed structure of YCo2O4, computed with GGA+U.

Results
* size of the total moment: 7.00 μB/f.u.
* space-group type: Imma (74)
* crystal system: orthorhombic

```
YCo2O4
1.0
-3.0803 3.2667 4.3105
3.0803 -3.2667 4.3105
3.0803 3.2667 -4.3105
Y Co O
2 4 8
Cartesian
0.0000 0.0000 0.0000 Y
0.0000 3.2667 0.0000 Y
1.5401 1.6333 -2.1552 Co
1.5401 -1.6333 2.1552 Co
3.0803 1.6333 1.1037 Co
0.0000 1.6333 3.2068 Co
3.0803 -0.0612 2.0402 O
1.5328 1.6333 -0.0219 O
1.5475 -1.6333 4.2886 O
3.0803 3.2055 -2.0402 O
0.0000 0.0612 6.3507 O
1.5328 4.9000 0.0219 O
1.5475 1.6333 4.3323 O
0.0000 3.3279 2.2702 O
```

***

Most favorable structure: (w). The second most favorable one is 79 meV/atom above it.

***

(w)
A relaxed structure of Zn2Co3O8, computed with GGA+U.

Results
* size of the total moment: 3.00 μB/f.u.
* space-group type: P6_3mc (186)
* crystal system: hexagonal

```
Zn2Co3O8
1.0
5.8324 0.0000 0.0000
-2.9162 5.0510 0.0000
0.0000 0.0000 9.4713
Zn Co O
4 6 16
Cartesian
0.0000 3.3673 0.0000 Zn
0.0000 3.3673 3.7755 Zn
2.9162 1.6837 4.7356 Zn
2.9162 1.6837 8.5111 Zn
0.0000 1.6500 6.7908 Co
-1.4873 4.2260 6.7908 Co
1.4289 0.8250 2.0552 Co
1.4873 4.2260 6.7908 Co
4.4035 0.8250 2.0552 Co
2.9162 3.4010 2.0552 Co
0.0000 0.0000 3.1156 O
0.0000 0.0000 7.8513 O
-1.2959 2.6192 7.9306 O
0.0000 1.6332 1.1247 O
-1.5018 4.2344 1.1247 O
1.4144 0.8166 5.8603 O
0.0000 3.3673 5.7468 O
1.2959 2.6192 7.9306 O
0.0000 4.8637 7.9306 O
2.9162 0.1873 3.1949 O
1.6203 2.4319 3.1949 O
2.9162 1.6837 1.0112 O
1.5018 4.2344 1.1247 O
4.4180 0.8166 5.8603 O
2.9162 3.4178 5.8603 O
4.2121 2.4319 3.1949 O
```

***

(x)
A relaxed structure of Zn2Co3O8, computed with GGA+U.

Results
* size of the total moment: 4.00 μB/f.u.
* space-group type: P1 (1)
* crystal system: triclinic

```
Zn2Co3O8
1.0
5.7412 0.0000 0.0000
-2.7841 5.0442 0.0000
-0.0032 -0.1243 9.3625
Zn Co O
4 6 16
Cartesian
0.0000 0.0000 0.0000 Zn
-0.0059 -0.0577 5.6514 Zn
2.8746 1.6663 0.9868 Zn
2.8651 1.6625 4.6531 Zn
4.3318 2.4432 7.6814 Co
-0.0036 1.6625 2.9995 Co
-1.3652 4.1470 2.9894 Co
1.4112 2.4660 7.6464 Co
0.0671 4.9341 7.6767 Co
1.4421 4.1457 3.0022 Co
0.0375 0.0138 1.9649 O
-1.3201 2.5501 2.0627 O
-1.3594 4.0378 6.8064 O
0.0106 1.6969 6.7404 O
1.2632 0.6849 4.0880 O
-0.0679 3.2455 4.0292 O
0.0380 3.0946 8.6960 O
1.6647 0.7050 8.8277 O
0.0515 4.9021 2.0740 O
1.3764 2.5093 2.1309 O
1.3596 4.1938 6.6788 O
2.8588 1.7202 6.6345 O
2.8651 3.0535 8.7808 O
4.1734 0.8707 8.7428 O
4.4577 0.7191 4.0464 O
2.9266 3.5250 4.0683 O
```

***

(y)
A relaxed structure of Zn2Co3O8, computed with GGA+U.

Results
* size of the total moment: 3.01 μB/f.u.
* space-group type: C2/m (12)
* crystal system: monoclinic

```
Zn2Co3O8
1.0
5.0731 -2.8327 0.0000
5.0731 2.8327 0.0000
-1.6395 0.0000 4.5354
Zn Co O
2 3 8
Cartesian
1.9585 0.0000 0.7118 Zn
6.5482 0.0000 3.8236 Zn
4.2534 1.4521 2.2677 Co
5.0731 0.0000 0.0000 Co
4.2534 -1.4521 2.2677 Co
0.3422 0.0000 1.9593 O
3.7801 1.2749 0.4537 O
4.7266 1.2749 4.0817 O
3.0601 0.0000 2.6544 O
5.4466 0.0000 1.8810 O
3.7801 -1.2749 0.4537 O
4.7266 -1.2749 4.0817 O
8.1645 0.0000 2.5761 O
```

***

Most favorable structure: (w). The second most favorable one is 17 meV/atom above it.

***

(w)
A relaxed structure of ZnCo2O4, computed with GGA+U.

Results
* size of the total moment: 0.67 μB/f.u.
* space-group type: P3m1 (156)
* crystal system: trigonal

```
ZnCo2O4
1.0
5.9541 0.0000 0.0000
-2.9771 5.1564 0.0000
0.0000 0.0000 14.6401
Zn Co O
6 12 24
Cartesian
0.0000 0.0000 0.0000 Zn
0.0000 0.0000 3.6472 Zn
0.0000 0.0000 9.1484 Zn
0.0000 3.4376 4.8777 Zn
0.0000 3.4376 8.5174 Zn
2.9771 1.7188 13.4268 Zn
-1.4863 2.5795 1.8257 Co
0.0000 1.7196 11.5932 Co
-1.4879 4.2966 11.5932 Co
1.4793 0.8541 6.7046 Co
0.0000 3.4376 14.0051 Co
1.4863 2.5795 1.8257 Co
0.0000 5.1538 1.8257 Co
2.9771 1.7188 4.2896 Co
2.9771 1.7188 9.7767 Co
1.4879 4.2966 11.5932 Co
4.4748 0.8541 6.7046 Co
2.9771 3.4483 6.7046 Co
0.0000 0.0000 5.6068 O
0.0000 0.0000 12.6778 O
-1.3655 2.6492 12.7619 O
0.0000 1.6112 7.7699 O
-1.5817 4.3508 7.7699 O
0.0000 1.8678 0.6518 O
-1.3595 4.2225 0.6518 O
1.4144 0.8166 10.5111 O
0.0000 3.4376 2.9024 O
0.0000 3.4376 10.4895 O
1.6115 0.9304 2.9676 O
1.3655 2.6492 12.7619 O
0.0000 5.0144 12.7619 O
2.9771 0.1549 5.5344 O
1.6227 2.5008 5.5344 O
1.3595 4.2225 0.6518 O
2.9771 1.7188 0.7631 O
2.9771 1.7188 7.8092 O
1.5817 4.3508 7.7699 O
4.3426 0.9304 2.9676 O
2.9770 3.2956 2.9676 O
4.5397 0.8166 10.5111 O
2.9770 3.5232 10.5111 O
4.3314 2.5008 5.5344 O
```

***

(x)
A relaxed structure of ZnCo2O4, computed with GGA+U.

Results
* size of the total moment: 4.00 μB/f.u.
* space-group type: P1 (1)
* crystal system: triclinic

```
ZnCo2O4
1.0
2.9274 0.0000 0.0000
0.0153 9.6906 0.0000
0.0226 0.0016 9.7421
Zn Co O
4 8 16
Cartesian
0.0000 0.0000 0.0000 Zn
0.0295 7.5165 4.8373 Zn
1.5819 4.8430 9.7283 Zn
1.5723 2.6967 4.9212 Zn
0.0556 5.0344 3.1160 Co
0.0764 2.4771 7.9906 Co
0.0622 2.4812 1.7369 Co
0.0877 5.0508 6.6118 Co
1.4973 7.3313 1.7380 Co
1.5001 0.2076 3.1209 Co
1.5125 0.1869 6.5973 Co
1.5324 7.3324 7.9957 Co
0.0261 5.9465 1.3353 O
0.0450 8.6145 2.4131 O
0.0403 1.5895 3.5169 O
0.0629 8.5999 7.2834 O
0.0577 1.5807 6.1912 O
0.0743 5.9319 8.4051 O
0.1135 3.3536 9.7198 O
0.1065 4.1814 4.8521 O
1.4998 8.2017 9.7286 O
1.4990 9.0090 4.8501 O
1.5118 6.4376 3.5300 O
1.5317 1.0868 8.3841 O
1.5253 3.7713 2.3983 O
1.5215 1.0955 1.3214 O
1.5492 3.7519 7.2636 O
1.5557 6.4272 6.2099 O
```

***

(y)
A relaxed structure of ZnCo2O4, computed with GGA+U.

Results
* size of the total moment: 0.00 μB/f.u.
* space-group type: P2_12_12 (18)
* crystal system: orthorhombic

```
ZnCo2O4
1.0
9.6906 0.0000 0.0000
0.0000 9.7421 0.0000
0.0000 0.0000 2.9274
Zn Co O
4 8 16
Cartesian
1.0875 2.4187 0.7751 Zn
3.7578 7.2897 2.1523 Zn
5.9328 2.4524 2.1523 Zn
8.6032 7.3235 0.7751 Zn
1.2721 5.5771 2.2066 Co
1.2945 9.0399 2.2164 Co
3.5508 4.1688 0.7110 Co
3.5732 0.7060 0.7208 Co
6.1174 9.0361 0.7208 Co
6.1398 5.5733 0.7110 Co
8.3961 0.7022 2.2164 Co
8.4185 4.1650 2.2066 Co
0.0000 0.0000 0.7557 O
0.0000 4.8711 0.7490 O
0.4030 7.3100 2.2446 O
2.1728 3.7767 2.1983 O
2.1782 1.0985 2.1867 O
2.6671 5.9695 0.7407 O
2.6725 8.6478 0.7291 O
4.4423 2.4389 0.6828 O
4.8453 0.0000 2.1784 O
4.8453 4.8711 2.1717 O
5.2483 7.3032 0.6828 O
7.0181 1.0944 0.7291 O
7.0235 3.7726 0.7407 O
7.5124 8.6437 2.1867 O
7.5178 5.9654 2.1983 O
9.2876 2.4321 2.2446 O
```

***

Most favorable structure: (w). The second most favorable one is 190 meV/atom above it.

***

(w)
A relaxed structure of Li2CrCuO4, computed with GGA+U.

Results
* size of the total moment: 1.00 μB/f.u.
* space-group type: P2/m (10)
* crystal system: monoclinic

```
Li2CrCuO4
1.0
5.1070 0.0000 0.0000
0.0000 2.9525 0.0000
-1.7083 0.0000 4.8280
Li Cr Cu O
2 1 1 4
Cartesian
0.0000 0.0000 0.0000 Li
2.5535 1.4763 0.0000 Li
-0.8542 1.4763 2.4140 Cr
1.6993 0.0000 2.4140 Cu
-0.0250 0.0000 3.5122 O
0.8306 1.4763 1.3176 O
2.5681 1.4763 3.5104 O
3.4237 0.0000 1.3158 O
```

***

(x)
A relaxed structure of Li2CrCuO4, computed with GGA+U.

Results
* size of the total moment: 4.98 μB/f.u.
* space-group type: Imma (74)
* crystal system: orthorhombic

```
Li2CrCuO4
1.0
-2.9420 2.9441 4.1744
2.9420 -2.9441 4.1744
2.9420 2.9441 -4.1744
Li Cr Cu O
4 2 2 8
Cartesian
0.0000 0.0000 0.0000 Li
-1.4710 1.4720 2.0872 Li
0.0000 2.9441 0.0000 Li
1.4710 1.4720 2.0872 Li
2.9420 0.0000 0.0000 Cr
0.0000 0.0000 4.1744 Cr
1.4710 1.4720 -2.0872 Cu
1.4710 -1.4720 2.0872 Cu
2.9420 -0.0731 2.0006 O
1.5626 1.4720 -0.0453 O
4.3215 1.4720 -0.0453 O
2.9420 2.8710 -2.0006 O
0.0000 0.0731 6.1750 O
-1.3794 1.4720 4.2197 O
1.3794 1.4720 4.2197 O
0.0000 3.0172 2.1738 O
```

***

(y)
A relaxed structure of Li2CrCuO4, computed with GGA+U.

Results
* size of the total moment: 0.00 μB/f.u.

```
Li2CrCuO4
1.0
2.0691 4.6891 0.0000
0.0000 0.0000 5.7631
5.1280 -0.1945 0.0000
Li Cr Cu O
4 2 2 8
Cartesian
1.0346 2.3446 1.4402 Li
2.5640 -0.0973 4.3221 Li
3.5985 2.2473 0.0006 Li
0.0000 0.0000 2.8816 Li
3.5985 2.2473 2.8858 Cr
0.0000 0.0000 0.0043 Cr
4.6330 4.5918 1.4394 Cu
6.1625 2.1501 4.3207 Cu
2.9593 3.5487 1.4397 O
4.4897 1.1074 4.3212 O
4.2377 0.9459 1.4397 O
2.7074 3.3872 4.3212 O
1.6976 1.0592 5.7624 O
5.2965 3.3061 2.8817 O
1.9006 1.1885 2.8816 O
5.4995 3.4354 5.7624 O
```

***

Most favorable structure: (w). The second most favorable one is 9 meV/atom above it.

***

(w)
A relaxed structure of Li2Cr3CuO8, computed with GGA+U.

Results
* size of the total moment: 5.00 μB/f.u.
* space-group type: C2 (5)
* crystal system: monoclinic

```
Li2Cr3CuO8
1.0
5.9015 -5.8973 0.0000
5.9015 5.8973 0.0000
-0.0203 0.0000 8.3250
Li Cr Cu O
8 12 4 32
Cartesian
1.4179 0.0000 3.1416 Li
4.4420 2.9178 7.2826 Li
7.3408 2.9178 1.0424 Li
4.4132 -0.0177 5.2241 Li
4.4150 -2.9385 7.2659 Li
7.3696 -0.0177 3.1009 Li
7.3677 -2.9385 1.0591 Li
10.3648 0.0000 5.1834 Li
2.9454 2.9360 4.1797 Cr
5.9015 5.8878 0.0000 Cr
1.4869 1.4669 6.2242 Cr
2.9075 0.0070 8.3217 Cr
4.4229 1.4666 2.0957 Cr
5.8914 2.9208 4.1625 Cr
4.4061 -1.4729 2.1043 Cr
7.3598 1.4666 6.2293 Cr
8.8373 2.9359 4.1453 Cr
10.2958 1.4669 2.1008 Cr
7.3766 -1.4729 6.2207 Cr
8.8752 0.0070 0.0033 Cr
1.4662 -1.4700 6.2584 Cu
5.9015 -0.0055 0.0000 Cu
5.8914 -2.9219 4.1625 Cu
10.3166 -1.4700 2.0666 Cu
0.1295 0.0285 6.3576 O
4.3911 4.2167 4.0892 O
1.5303 1.3223 8.2336 O
3.0564 2.8357 2.2411 O
1.4941 -1.2884 8.3105 O
4.4061 1.5889 4.0657 O
2.8300 0.0113 6.3765 O
5.7307 2.8495 2.1718 O
4.3451 1.3178 0.1205 O
3.1081 0.0100 2.0143 O
7.3916 4.2167 4.2358 O
6.0520 2.8495 6.1532 O
5.7067 0.0349 2.0018 O
4.3573 -1.3357 0.1658 O
7.3766 1.5889 4.2593 O
8.7263 2.8357 6.0839 O
4.3524 -1.5770 4.0060 O
3.0326 -2.9076 2.2339 O
6.0760 0.0349 6.3232 O
7.4376 1.3178 8.2045 O
5.6911 -2.8813 2.1260 O
4.3639 -4.2393 4.0882 O
8.6746 0.0100 6.3107 O
7.4254 -1.3357 8.1592 O
10.2524 1.3223 0.0914 O
8.9527 0.0112 1.9485 O
6.0916 -2.8813 6.1990 O
7.4303 -1.5770 4.3190 O
10.2886 -1.2884 0.0145 O
11.6532 0.0285 1.9674 O
7.4189 -4.2393 4.2368 O
8.7501 -2.9076 6.0911 O
```

***

(x)
A relaxed structure of Li2Cr3CuO8, computed with GGA+U.

Results
* size of the total moment: 5.00 μB/f.u.
* space-group type: Cc (9)
* crystal system: monoclinic

```
Li2Cr3CuO8
1.0
2.9256 -5.0592 0.0000
2.9256 5.0592 0.0000
-0.0718 0.0000 9.5647
Li Cr Cu O
4 6 2 16
Cartesian
2.9256 -5.0588 0.0000 Li
2.8897 5.0588 4.7824 Li
2.8690 1.6764 3.8550 Li
2.8331 -1.6764 8.6374 Li
2.8323 3.3758 6.8125 Cr
1.3910 0.8632 6.8187 Cr
1.4269 -0.8632 2.0363 Cr
4.2733 0.8733 6.8772 Cr
4.3092 -0.8733 2.0949 Cr
2.8682 -3.3758 2.0302 Cr
2.8719 1.7095 9.4361 Cu
2.9078 -1.7094 4.6538 Cu
1.5718 2.4343 7.9944 O
1.4166 0.8354 1.0890 O
2.9562 3.4190 1.0536 O
2.8412 1.6979 5.7973 O
1.3807 -0.8354 5.8714 O
2.8028 0.2029 8.0247 O
4.1230 2.4797 8.0137 O
2.8387 -0.2029 3.2423 O
1.6077 -2.4343 3.2121 O
2.8772 -1.6979 1.0149 O
4.4345 0.8632 1.0435 O
2.9203 -3.4190 5.8359 O
4.3986 -0.8632 5.8258 O
4.1589 -2.4797 3.2313 O
5.7819 0.0051 7.8116 O
5.8179 -0.0051 3.0293 O
```

***

Most favorable structure: (w). The second most favorable one is 24 meV/atom above it.